a) First-principles (GGA-PBE) data for crystalline CaCuP2O7 at its relaxed geometry, as listed in Materials Project.

Calculated values
size of the total moment: 1.00 μB per formula unit

abc: 6.4821 6.5743 6.7119
angles: 66.33 87.35 82.55
Fractional positions:
Ca 0.1428 0.2291 0.3259
Ca 0.8572 0.7709 0.6741
Cu 0.3520 0.3995 0.7248
Cu 0.6480 0.6005 0.2752
P 0.1433 0.7287 0.2516
P 0.3733 0.8574 0.8324
P 0.6267 0.1426 0.1676
P 0.8567 0.2713 0.7484
O 0.0265 0.3995 0.7795
O 0.0679 0.8839 0.3626
O 0.2222 0.8900 0.0202
O 0.2727 0.7062 0.7533
O 0.3307 0.5500 0.3667
O 0.3748 0.0986 0.6614
O 0.4105 0.2458 0.0627
O 0.5895 0.7542 0.9373
O 0.6252 0.9014 0.3386
O 0.6693 0.4500 0.6333
O 0.7273 0.2938 0.2467
O 0.7778 0.1100 0.9798
O 0.9321 0.1161 0.6374
O 0.9735 0.6006 0.2205

b) First-principles (GGA-PBE) data for crystalline CaCuP2O7 at its relaxed geometry, as listed in Materials Project.

Calculated values
size of the total moment: 1.00 μB per formula unit

abc: 6.0879 6.5143 7.4675
angles: 81.60 89.50 68.50
Fractional positions:
Ca 0.2032 0.2846 0.3627
Ca 0.7968 0.7154 0.6373
Cu 0.2337 0.8772 0.8290
Cu 0.7663 0.1228 0.1710
P 0.2591 0.7831 0.3770
P 0.3432 0.3382 0.8822
P 0.6568 0.6618 0.1178
P 0.7409 0.2169 0.6230
O 0.0902 0.0064 0.2683
O 0.1361 0.6266 0.4521
O 0.1660 0.5821 0.8542
O 0.2457 0.1833 0.8057
O 0.3998 0.8407 0.5156
O 0.4314 0.6515 0.2314
O 0.4376 0.2608 0.0824
O 0.5624 0.7392 0.9176
O 0.5686 0.3485 0.7686
O 0.6002 0.1593 0.4844
O 0.7543 0.8167 0.1943
O 0.8340 0.4179 0.1458
O 0.8639 0.3734 0.5479
O 0.9098 0.9936 0.7317

c) First-principles (GGA-PBE) data for crystalline CaCuP2O7 at its relaxed geometry, as listed in Materials Project.

abc: 5.3017 8.1370 13.4204
angles: 90.00 111.42 90.00
Fractional positions:
Ca 0.0149 0.1818 0.2263
Ca 0.0149 0.3182 0.7263
Ca 0.9851 0.6818 0.2737
Ca 0.9851 0.8182 0.7737
Cu 0.3176 0.6405 0.6102
Cu 0.3176 0.8595 0.1102
Cu 0.6824 0.1405 0.8898
Cu 0.6824 0.3595 0.3898
P 0.3256 0.2020 0.0156
P 0.3256 0.2980 0.5156
P 0.4118 0.0276 0.6659
P 0.4118 0.4724 0.1659
P 0.5882 0.5276 0.8341
P 0.5882 0.9724 0.3341
P 0.6744 0.7020 0.4844
P 0.6744 0.7980 0.9844
O 0.1166 0.1891 0.9033
O 0.1166 0.3109 0.4033
O 0.1801 0.0421 0.7072
O 0.1801 0.4579 0.2072
O 0.2508 0.1022 0.0995
O 0.2508 0.3978 0.5995
O 0.3119 0.1061 0.5480
O 0.3119 0.3939 0.0480
O 0.3301 0.6221 0.7648
O 0.3301 0.8779 0.2648
O 0.3765 0.6665 0.4715
O 0.3765 0.8335 0.9715
O 0.5005 0.1487 0.3444
O 0.5005 0.3513 0.8444
O 0.4995 0.6487 0.1556
O 0.4995 0.8513 0.6556
O 0.6235 0.1665 0.0285
O 0.6235 0.3335 0.5285
O 0.6699 0.1221 0.7352
O 0.6699 0.3779 0.2352
O 0.6881 0.6061 0.9520
O 0.6881 0.8939 0.4520
O 0.7492 0.6022 0.4005
O 0.7492 0.8978 0.9005
O 0.8199 0.5421 0.7928
O 0.8199 0.9579 0.2928
O 0.8834 0.6891 0.5967
O 0.8834 0.8109 0.0967

d) First-principles (GGA-PBE) data for crystalline CaCuP2O7 at its relaxed geometry, as listed in Materials Project.

Calculated values
size of the total moment: 1.00 μB per formula unit

abc: 7.4321 8.9176 9.1760
angles: 90.00 119.06 90.00
Fractional positions:
Ca 0.2274 0.0443 0.3711
Ca 0.2274 0.4557 0.8711
Ca 0.7726 0.5443 0.1289
Ca 0.7726 0.9557 0.6289
Cu 0.2801 0.0835 0.8911
Cu 0.2801 0.4165 0.3911
Cu 0.7199 0.5835 0.6089
Cu 0.7199 0.9165 0.1089
P 0.0137 0.7412 0.9618
P 0.0137 0.7588 0.4618
P 0.4474 0.7186 0.2654
P 0.4474 0.7814 0.7654
P 0.5526 0.2186 0.2346
P 0.5526 0.2814 0.7346
P 0.9863 0.2412 0.5382
P 0.9863 0.2588 0.0382
O 0.0487 0.6154 0.3911
O 0.0487 0.8846 0.8911
O 0.0524 0.1031 0.6576
O 0.0524 0.3969 0.1576
O 0.1191 0.2419 0.9526
O 0.1191 0.2581 0.4526
O 0.2324 0.6723 0.1037
O 0.2324 0.8277 0.6037
O 0.3991 0.2234 0.2996
O 0.3991 0.2766 0.7996
O 0.4284 0.6376 0.8454
O 0.4284 0.8624 0.3454
O 0.4870 0.5776 0.3795
O 0.4870 0.9224 0.8795
O 0.5130 0.0776 0.1205
O 0.5130 0.4224 0.6205
O 0.5716 0.1376 0.6546
O 0.5716 0.3624 0.1546
O 0.6009 0.7234 0.2004
O 0.6009 0.7766 0.7004
O 0.7676 0.1723 0.3963
O 0.7676 0.3277 0.8963
O 0.8809 0.7419 0.5474
O 0.8809 0.7581 0.0474
O 0.9476 0.6031 0.8424
O 0.9476 0.8969 0.3424
O 0.9513 0.1154 0.1089
O 0.9513 0.3846 0.6089

Relative stability in eV/atom, measured from the most stable structure: a) 0.046; b) 0.012; c) 0.000; d) 0.055

a) First-principles (GGA-PBE) data for crystalline CaSmEuSbO6 at its relaxed geometry, as listed in Materials Project.

Calculated values
size of the total moment: 7.00 μB per formula unit

abc: 8.4231 8.4364 8.4447
angles: 90.00 90.00 90.00
Fractional positions:
Ca 0.0000 0.0000 0.0000
Ca 0.0000 0.5000 0.0000
Ca 0.5000 0.0000 0.0000
Ca 0.5000 0.5000 0.5000
Sm 0.2500 0.2500 0.7513
Sm 0.2500 0.7500 0.2487
Sm 0.7500 0.2500 0.2487
Sm 0.7500 0.7500 0.7513
Eu 0.0000 0.0000 0.5000
Eu 0.0000 0.5000 0.5000
Eu 0.5000 0.0000 0.5000
Eu 0.5000 0.5000 0.0000
Sb 0.2500 0.2501 0.2481
Sb 0.2500 0.7499 0.7519
Sb 0.7500 0.2501 0.7519
Sb 0.7500 0.7499 0.2481
O 0.0175 0.2014 0.2873
O 0.0175 0.7986 0.7127
O 0.1974 0.2934 0.0169
O 0.1974 0.7066 0.9831
O 0.2136 0.4829 0.2977
O 0.2136 0.5171 0.7023
O 0.2924 0.0177 0.1967
O 0.2924 0.9823 0.8033
O 0.2963 0.2124 0.4820
O 0.2963 0.7876 0.5180
O 0.4830 0.2978 0.2123
O 0.4830 0.7022 0.7877
O 0.5170 0.2978 0.7877
O 0.5170 0.7022 0.2123
O 0.7037 0.2124 0.5180
O 0.7037 0.7876 0.4820
O 0.7076 0.0177 0.8033
O 0.7076 0.9823 0.1967
O 0.7864 0.4829 0.7023
O 0.7864 0.5171 0.2977
O 0.8026 0.2934 0.9831
O 0.8026 0.7066 0.0169
O 0.9825 0.2014 0.7127
O 0.9825 0.7986 0.2873

b) First-principles (GGA-PBE) data for crystalline CaSmEuSbO6 at its relaxed geometry, as listed in Materials Project.

Calculated values
size of the total moment: 7.00 μB per formula unit

abc: 5.9847 5.9847 5.9847
angles: 60.00 60.00 60.00
Fractional positions:
Ca 0.0000 0.0000 0.0000
Sm 0.7500 0.7500 0.7500
Eu 0.5000 0.5000 0.5000
Sb 0.2500 0.2500 0.2500
O 0.0153 0.0153 0.4847
O 0.0153 0.4847 0.0153
O 0.0153 0.4847 0.4847
O 0.4847 0.0153 0.0153
O 0.4847 0.0153 0.4847
O 0.4847 0.4847 0.0153

Relative stability in eV/atom, measured from the most stable structure: a) 0.000; b) 0.085

a) First-principles (GGA-PBE) data for crystalline Na2Ca4ZrNbSi4O17F at its relaxed geometry, as listed in Materials Project.

Calculated values
size of the total moment: 0.00 μB per formula unit

abc: 7.4316 10.4615 11.0136
angles: 90.00 109.19 90.00
Fractional positions:
Na 0.0735 0.0000 0.3740
Na 0.1807 0.1469 0.1382
Na 0.8193 0.6469 0.8618
Na 0.9265 0.5000 0.6260
Ca 0.0419 0.3473 0.3415
Ca 0.1950 0.7629 0.1506
Ca 0.3006 0.6417 0.8673
Ca 0.4523 0.8782 0.6499
Ca 0.5477 0.3782 0.3501
Ca 0.6994 0.1417 0.1327
Ca 0.8050 0.2629 0.8494
Ca 0.9581 0.8473 0.6585
Zr 0.3083 0.2595 0.8496
Zr 0.6917 0.7595 0.1504
Nb 0.4113 0.5110 0.6168
Nb 0.5887 0.0110 0.3832
Si 0.0469 0.6946 0.4295
Si 0.1303 0.4436 0.0657
Si 0.3026 0.9438 0.9306
Si 0.3810 0.1902 0.5766
Si 0.6190 0.6902 0.4234
Si 0.6974 0.4438 0.0694
Si 0.8697 0.9436 0.9343
Si 0.9531 0.1946 0.5705
O 0.0178 0.6678 0.7499
O 0.0205 0.2053 0.7289
O 0.1076 0.9259 0.9716
O 0.1483 0.8207 0.5041
O 0.1490 0.1676 0.5347
O 0.1592 0.3376 0.9602
O 0.1699 0.5607 0.4821
O 0.1696 0.5879 0.0295
O 0.2368 0.3999 0.2126
O 0.2709 0.9052 0.7837
O 0.2975 0.4274 0.7300
O 0.3744 0.0918 0.9662
O 0.4066 0.3287 0.5147
O 0.4375 0.8338 0.0267
O 0.4536 0.0658 0.5159
O 0.4720 0.1886 0.7337
O 0.4751 0.6586 0.7122
O 0.5249 0.1586 0.2878
O 0.5280 0.6886 0.2663
O 0.5464 0.5658 0.4841
O 0.5625 0.3338 0.9733
O 0.5934 0.8287 0.4853
O 0.6256 0.5918 0.0338
O 0.7025 0.9274 0.2700
O 0.7291 0.4052 0.2163
O 0.7632 0.8999 0.7874
O 0.8301 0.0607 0.5179
O 0.8304 0.0879 0.9705
O 0.8408 0.8376 0.0398
O 0.8510 0.6676 0.4653
O 0.8517 0.3207 0.4959
O 0.8924 0.4259 0.0284
O 0.9795 0.7053 0.2711
O 0.9822 0.1678 0.2501
F 0.3106 0.9424 0.2727
F 0.6894 0.4424 0.7273

b) First-principles (GGA-PBE) data for crystalline Na2Ca4ZrNbSi4O17F at its relaxed geometry, as listed in Materials Project.

Calculated values
size of the total moment: 0.00 μB per formula unit

abc: 7.3781 10.4015 10.9645
angles: 90.00 108.92 90.00
Fractional positions:
Na 0.0526 0.0000 0.3676
Na 0.1877 0.1510 0.1218
Na 0.8123 0.6510 0.8782
Na 0.9474 0.5000 0.6324
Ca 0.0522 0.3800 0.3474
Ca 0.1997 0.7663 0.1548
Ca 0.2992 0.2651 0.8550
Ca 0.4437 0.4943 0.6326
Ca 0.5563 0.9943 0.3674
Ca 0.7008 0.7651 0.1450
Ca 0.8003 0.2663 0.8452
Ca 0.9478 0.8800 0.6526
Zr 0.4467 0.8743 0.6578
Zr 0.5533 0.3743 0.3422
Nb 0.3043 0.6361 0.8662
Nb 0.6957 0.1361 0.1338
Si 0.0639 0.6952 0.4386
Si 0.1347 0.4477 0.0727
Si 0.3026 0.9571 0.9204
Si 0.3751 0.1965 0.5669
Si 0.6249 0.6965 0.4331
Si 0.6974 0.4571 0.0796
Si 0.8653 0.9477 0.9273
Si 0.9361 0.1952 0.5614
O 0.0177 0.7226 0.2865
O 0.0638 0.7031 0.7782
O 0.0783 0.9825 0.9149
O 0.1131 0.3237 0.9805
O 0.1381 0.2065 0.5228
O 0.1503 0.5531 0.4878
O 0.1821 0.8175 0.5259
O 0.2023 0.5810 0.0200
O 0.2711 0.4184 0.2218
O 0.2746 0.4760 0.7859
O 0.2911 0.9575 0.7676
O 0.3790 0.8193 0.9910
O 0.4095 0.3012 0.4638
O 0.4169 0.0838 0.9937
O 0.4279 0.0487 0.5413
O 0.4557 0.6999 0.7560
O 0.4764 0.2540 0.7101
O 0.5236 0.7540 0.2899
O 0.5443 0.1999 0.2440
O 0.5721 0.5487 0.4587
O 0.5831 0.5838 0.0063
O 0.5905 0.8012 0.5362
O 0.6210 0.3193 0.0090
O 0.7089 0.4575 0.2324
O 0.7254 0.9760 0.2141
O 0.7289 0.9184 0.7782
O 0.7977 0.0810 0.9800
O 0.8179 0.3175 0.4741
O 0.8497 0.0531 0.5122
O 0.8619 0.7065 0.4772
O 0.8869 0.8237 0.0195
O 0.9217 0.4825 0.0851
O 0.9362 0.2031 0.2218
O 0.9823 0.2226 0.7135
F 0.2468 0.9714 0.2412
F 0.7532 0.4714 0.7588

Relative stability in eV/atom, measured from the most stable structure: a) 0.073; b) 0.000